1) DFT (PBE) results for a relaxed TePb3 crystal.

Geometry as POSCAR:
```
TePb3
1.0
7.0673 0.0000 0.0000
-3.5337 6.1205 0.0000
0.0000 0.0000 5.9632
Te Pb
2 6
Cartesian
0.0000 4.0803 1.4908
3.5337 2.0402 4.4724
0.0000 2.0493 4.4724
-1.7589 5.0958 4.4724
1.7747 1.0246 1.4908
1.7589 5.0958 4.4724
5.2926 1.0246 1.4908
3.5337 4.0712 1.4908
```

M_tot (μB per formula unit): 0.00
SG: P6_3/mmc

2) DFT (PBE) results for a relaxed TePb3 crystal.

Geometry as POSCAR:
```
TePb3
1.0
4.8438 0.0000 0.0000
0.0000 4.8438 0.0000
0.0000 0.0000 11.0547
Te Pb
2 6
Cartesian
0.0000 0.0000 0.0000
2.4219 2.4219 5.5274
0.0000 0.0000 5.5274
0.0000 2.4219 2.7637
0.0000 2.4219 8.2910
2.4219 0.0000 2.7637
2.4219 0.0000 8.2910
2.4219 2.4219 0.0000
```

M_tot (μB per formula unit): 0.00
SG: I4/mmm

Most stable pick: 1). Distance to second place: 6 meV/atom.

1) DFT (PBE) results for a relaxed Pd crystal.

Geometry as POSCAR:
```
Pd
1.0
3.1446 0.0000 0.0000
0.0000 3.1446 0.0000
0.0000 0.0000 3.1446
Pd
2
Cartesian
0.0000 0.0000 0.0000
1.5723 1.5723 1.5723
```

M_tot (μB per formula unit): 0.00
SG: Im-3m

2) DFT (PBE) results for a relaxed Pd crystal.

Geometry as POSCAR:
```
Pd
1.0
2.7837 0.0000 0.0000
-1.3918 2.4107 0.0000
0.0000 0.0000 4.6289
Pd
2
Cartesian
0.0000 1.6072 1.1572
1.3918 0.8036 3.4717
```

M_tot (μB per formula unit): 0.34
SG: P6_3/mmc

Most stable pick: 2). Distance to second place: 22 meV/atom.

1) DFT (PBE) results for a relaxed PrSb2Pd crystal.

Geometry as POSCAR:
```
PrSb2Pd
1.0
4.5113 0.0000 0.0000
0.0000 4.5113 0.0000
0.0000 0.0000 10.0075
Pr Sb Pd
2 4 2
Cartesian
1.1278 1.1278 2.4735
3.3835 3.3835 7.5341
1.1278 1.1278 8.4883
1.1278 3.3835 5.0038
3.3835 1.1278 5.0038
3.3835 3.3835 1.5192
1.1278 3.3835 0.0000
3.3835 1.1278 0.0000
```

SG: P4/nmm

2) DFT (PBE) results for a relaxed PrSb2Pd crystal.

Geometry as POSCAR:
```
PrSb2Pd
1.0
5.8212 0.0000 0.0000
0.0000 5.8212 0.0000
0.0000 0.0000 6.2295
Pr Sb Pd
2 4 2
Cartesian
1.4553 1.4553 1.0071
4.3659 4.3659 5.2224
1.4553 1.4553 4.0617
1.4553 4.3659 0.0000
4.3659 1.4553 0.0000
4.3659 4.3659 2.1678
1.4553 4.3659 3.1148
4.3659 1.4553 3.1148
```

M_tot (μB per formula unit): 0.00
SG: P4/nmm

Most stable pick: 1). Distance to second place: 381 meV/atom.

1) DFT (PBE) results for a relaxed Rb2Pd3S4 crystal.

Geometry as POSCAR:
```
Rb2Pd3S4
1.0
0.0000 5.4803 13.6913
3.1249 0.0000 13.6913
3.1249 5.4803 0.0000
Rb Pd S
4 6 8
Cartesian
0.7812 1.3701 1.2785
0.7812 1.3701 5.5672
5.4685 9.5906 21.8155
5.4685 9.5906 26.1042
2.3437 4.1103 3.4410
2.3437 4.1103 10.2685
3.9061 6.8504 10.2866
2.3437 4.1103 17.0960
3.9061 6.8504 17.1142
3.9061 6.8504 23.9417
2.3177 2.2903 8.7362
2.3696 2.2903 11.8008
3.9320 5.0305 15.5818
2.3696 5.9302 8.7362
3.8802 5.0305 18.6465
2.3177 5.9302 11.8008
3.8802 8.6704 15.5818
3.9320 8.6704 18.6465
```

SG: Fddd

2) DFT (PBE) results for a relaxed Rb2Pd3S4 crystal.

Geometry as POSCAR:
```
Rb2Pd3S4
1.0
6.2362 0.0000 0.0000
-2.9773 5.4796 0.0000
-1.6294 -2.7398 6.8786
Rb Pd S
2 3 4
Cartesian
0.0000 0.0000 0.0000
-0.0510 0.0045 4.3775
-1.5377 2.7653 2.1760
1.6455 2.7361 2.1755
3.1507 0.0108 2.2273
0.0825 3.7062 0.7193
0.0954 3.7338 3.7294
3.1910 1.8916 0.6817
3.2136 1.8178 3.7461
```

M_tot (μB per formula unit): 0.00
SG: P1

Most stable pick: 1). Distance to second place: 14 meV/atom.

1) DFT (PBE) results for a relaxed Sb3Pd8 crystal.

Geometry as POSCAR:
```
Sb3Pd8
1.0
3.8587 2.2278 14.6106
-3.8587 2.2278 14.6106
0.0000 -4.4557 14.6106
Sb Pd
12 32
Cartesian
0.0000 0.0000 0.0000
-2.6353 -0.1087 18.2632
0.0000 0.0000 6.8530
-1.2235 -2.3366 25.5685
0.0000 0.0000 15.0629
1.4118 -2.2278 18.2632
0.0000 0.0000 21.9159
-1.4118 2.2278 25.5685
0.0000 0.0000 28.7689
1.2235 2.3366 18.2632
0.0000 0.0000 36.9787
2.6353 0.1087 25.5685
-1.0856 -2.1969 13.8336
0.0000 0.0000 2.7120
-0.9731 -2.7243 19.6512
-0.9731 -1.7314 16.8752
-2.4990 -0.1893 21.1389
-2.8459 -0.5194 24.1805
-1.0856 -2.2588 22.6928
0.0000 0.0000 9.5643
0.0000 0.0000 12.3516
-1.3598 2.0386 13.8336
-1.9860 -0.0229 26.9565
-2.4453 -0.1583 29.9981
-1.8728 2.2049 19.6512
-1.0129 1.7084 16.8752
0.0000 0.0000 19.2039
-1.4134 2.0695 22.6928
1.4134 -2.0695 21.1389
0.0000 0.0000 24.6279
1.0129 -1.7084 26.9565
1.8728 -2.2049 24.1805
2.4453 0.1583 13.8336
1.9860 0.0229 16.8752
1.3598 -2.0386 29.9981
0.0000 0.0000 31.4802
0.0000 0.0000 34.2674
1.0856 2.2588 21.1389
2.8459 0.5194 19.6512
2.4990 0.1893 22.6928
0.9731 1.7314 26.9565
0.9731 2.7243 24.1805
0.0000 0.0000 41.1197
1.0856 2.1969 29.9981
```

SG: R-3c

2) DFT (PBE) results for a relaxed Sb3Pd8 crystal.

Geometry as POSCAR:
```
Sb3Pd8
1.0
3.9015 2.2525 15.0144
-3.9015 2.2525 15.0144
0.0000 -4.5050 15.0144
Sb Pd
12 32
Cartesian
0.0000 0.0000 0.0000
-1.4846 -1.7931 15.9217
-3.0909 -0.0703 23.4289
0.0000 0.0000 5.8826
0.0000 0.0000 12.4478
-0.8106 2.1823 15.9218
0.0000 0.0000 22.5216
1.6063 -2.6416 23.4289
2.2952 -0.3891 15.9218
0.0000 0.0000 28.4041
0.0000 0.0000 34.9694
1.4846 2.7119 23.4289
-2.3987 0.0460 13.9496
-2.8412 0.3558 16.7382
0.0000 0.0000 3.3078
-1.3701 -2.0927 18.6085
-2.6965 0.1240 19.7742
-1.5028 -2.2065 21.4568
0.0000 0.0000 9.7408
-2.7742 -0.0196 26.1157
-1.0603 -1.8967 24.2454
-1.2050 -2.1286 27.2814
1.1595 -2.1003 13.9496
1.1125 -2.6384 16.7382
0.0000 0.0000 17.3110
1.2409 -2.3972 19.7743
-1.1273 2.2329 18.6085
0.0000 0.0000 20.0136
-1.1595 2.4047 21.4568
-1.1125 1.8666 24.2454
0.0000 0.0000 25.8293
1.4041 -2.3927 26.1156
-1.2409 2.1078 27.2814
1.2392 2.0543 13.9496
0.0000 0.0000 32.2624
2.4974 -0.1402 18.6085
1.7287 2.2827 16.7382
1.4556 2.2733 19.7742
2.6623 -0.1982 21.4568
2.1728 0.0301 24.2454
0.0000 0.0000 39.8326
2.4459 0.0207 27.2814
1.3701 2.4123 26.1157
0.0000 0.0000 42.5351
```

M_tot (μB per formula unit): 0.00
SG: R3c

Most stable pick: 1). Distance to second place: 155 meV/atom.

1) DFT (PBE) results for a relaxed Ti3Pd5 crystal.

Geometry as POSCAR:
```
Ti3Pd5
1.0
3.3318 0.0000 0.0000
0.0000 3.3318 0.0000
0.0000 0.0000 11.6039
Ti Pd
3 5
Cartesian
0.0000 0.0000 0.0000
1.6659 1.6659 1.6423
1.6659 1.6659 9.9616
0.0000 0.0000 2.8316
0.0000 0.0000 5.8019
0.0000 0.0000 8.7723
1.6659 1.6659 4.3415
1.6659 1.6659 7.2623
```

M_tot (μB per formula unit): 0.34
SG: P4/mmm

2) DFT (PBE) results for a relaxed Ti3Pd5 crystal.

Geometry as POSCAR:
```
Ti3Pd5
1.0
3.3103 0.0000 0.0000
0.0000 3.3103 0.0000
0.0000 0.0000 11.4990
Ti Pd
3 5
Cartesian
0.0000 0.0000 0.0000
1.6551 1.6551 4.1770
1.6551 1.6551 7.3220
0.0000 0.0000 2.9662
0.0000 0.0000 5.7495
0.0000 0.0000 8.5328
1.6551 1.6551 1.3796
1.6551 1.6551 10.1194
```

SG: P4/mmm

Most stable pick: 2). Distance to second place: 318 meV/atom.

1) DFT (PBE) results for a relaxed Pm crystal.

Geometry as POSCAR:
```
Pm
1.0
3.6752 0.0000 0.0000
-1.8376 3.1828 0.0000
0.0000 0.0000 11.8257
Pm
4
Cartesian
0.0000 0.0000 0.0000
0.0000 0.0000 5.9129
0.0000 2.1219 2.9564
1.8376 1.0609 8.8693
```

SG: P6_3/mmc

2) DFT (PBE) results for a relaxed Pm crystal.

Geometry as POSCAR:
```
Pm
1.0
5.1682 0.0000 0.0000
0.0000 5.1682 0.0000
0.0000 0.0000 5.1682
Pm
4
Cartesian
0.0000 0.0000 0.0000
0.0000 2.5841 2.5841
2.5841 0.0000 2.5841
2.5841 2.5841 0.0000
```

SG: Fm-3m

Most stable pick: 1). Distance to second place: 10 meV/atom.

1) DFT (PBE) results for a relaxed Pm3Pr crystal.

Geometry as POSCAR:
```
Pm3Pr
1.0
5.1847 0.0000 0.0000
0.0000 5.1847 0.0000
0.0000 0.0000 10.4672
Pm Pr
6 2
Cartesian
0.0000 0.0000 0.0000
0.0000 2.5924 2.6168
0.0000 2.5924 7.8504
2.5924 0.0000 2.6168
2.5924 0.0000 7.8504
2.5924 2.5924 5.2336
0.0000 0.0000 5.2336
2.5924 2.5924 0.0000
```

SG: I4/mmm

2) DFT (PBE) results for a relaxed Pm3Pr crystal.

Geometry as POSCAR:
```
Pm3Pr
1.0
7.3498 0.0000 0.0000
-3.6749 6.3651 0.0000
0.0000 0.0000 6.0353
Pm Pr
6 2
Cartesian
0.0000 2.1172 1.5088
-1.8413 5.3065 1.5088
1.8336 1.0586 4.5265
1.8413 5.3065 1.5088
5.5162 1.0586 4.5265
3.6749 4.2479 4.5265
0.0000 4.2434 4.5265
3.6749 2.1217 1.5088
```

SG: P6_3/mmc

Most stable pick: 1). Distance to second place: 17 meV/atom.

1) DFT (PBE) results for a relaxed PmS2 crystal.

Geometry as POSCAR:
```
PmS2
1.0
3.9424 0.0000 0.0000
0.0000 3.9424 0.0000
0.0000 0.0000 8.1803
Pm S
2 4
Cartesian
0.9856 0.9856 1.8438
2.9568 2.9568 6.3366
0.9856 0.9856 7.0920
0.9856 2.9568 4.0902
2.9568 0.9856 4.0902
2.9568 2.9568 1.0883
```

M_tot (μB per formula unit): 0.00
SG: P4/nmm

2) DFT (PBE) results for a relaxed PmS2 crystal.

Geometry as POSCAR:
```
PmS2
1.0
8.1008 0.0000 0.0000
0.0000 4.0152 0.0000
-0.0140 0.0000 8.0067
Pm S
4 8
Cartesian
1.8142 0.8610 2.9697
1.8072 1.1465 6.9730
6.2795 2.8686 1.0336
6.2725 3.1541 5.0370
1.0716 2.9715 1.0022
1.0646 3.0513 5.0056
4.0246 2.6464 3.1317
4.0176 3.3763 7.1350
4.0692 0.6388 0.8717
4.0622 1.3688 4.8750
7.0222 0.9639 3.0011
7.0151 1.0437 7.0044
```

SG: P2_1/c

Most stable pick: 2). Distance to second place: 73 meV/atom.

1) DFT (PBE) results for a relaxed PmSe crystal.

Geometry as POSCAR:
```
PmSe
1.0
4.6836 0.0000 0.0000
-2.3418 4.0561 0.0000
0.0000 0.0000 7.4964
Pm Se
2 2
Cartesian
0.0000 2.7041 0.0000
2.3418 1.3520 3.7482
0.0000 2.7041 2.8320
2.3418 1.3520 6.5803
```

M_tot (μB per formula unit): 0.10
SG: P6_3mc

2) DFT (PBE) results for a relaxed PmSe crystal.

Geometry as POSCAR:
```
PmSe
1.0
5.9367 0.0000 0.0000
0.0000 5.9367 0.0000
0.0000 0.0000 5.9367
Pm Se
4 4
Cartesian
0.0000 0.0000 0.0000
0.0000 2.9684 2.9684
2.9684 0.0000 2.9684
2.9684 2.9684 0.0000
0.0000 0.0000 2.9684
0.0000 2.9684 0.0000
2.9684 0.0000 0.0000
2.9684 2.9684 2.9684
```

SG: Fm-3m

Most stable pick: 2). Distance to second place: 538 meV/atom.

1) DFT (PBE) results for a relaxed Pm3Sm crystal.

Geometry as POSCAR:
```
Pm3Sm
1.0
5.1683 0.0000 0.0000
0.0000 5.1683 0.0000
0.0000 0.0000 5.1683
Pm Sm
3 1
Cartesian
0.0000 0.0000 2.5842
0.0000 2.5842 0.0000
2.5842 0.0000 0.0000
2.5842 2.5842 2.5842
```

SG: Pm-3m

2) DFT (PBE) results for a relaxed Pm3Sm crystal.

Geometry as POSCAR:
```
Pm3Sm
1.0
7.3207 0.0000 0.0000
-3.6604 6.3399 0.0000
0.0000 0.0000 5.9762
Pm Sm
6 2
Cartesian
0.0000 2.1135 1.4940
-1.8300 5.2832 1.4940
1.8303 1.0568 4.4821
1.8300 5.2832 1.4940
5.4904 1.0568 4.4821
3.6604 4.2264 4.4821
0.0000 4.2266 4.4821
3.6604 2.1133 1.4940
```

SG: P6_3/mmc

Most stable pick: 1). Distance to second place: 19 meV/atom.